# 1
# Sr2EuBeO5, relaxed, DFT PBE
# energy relative to the elements: -2955 meV per atom
# calculated total energy: -7.252 eV/atom
# volume: 482.1 Å³ per cell
# size of the total moment: 0.56 μB per atom
# crystal system: orthorhombic
data_Sr2EuBeO5
_chemical_formula_sum 'Sr8 Eu4 Be4 O20'
_symmetry_space_group_name_H-M 'P 1'
_symmetry_Int_Tables_number 1
_cell_length_a 6.712
_cell_length_b 7.383
_cell_length_c 9.729
_cell_angle_alpha 90.00
_cell_angle_beta 90.00
_cell_angle_gamma 90.00
loop_
_symmetry_equiv_pos_as_xyz
'x,y,z'
loop_
_atom_site_label
_atom_site_type_symbol
_atom_site_fract_x
_atom_site_fract_y
_atom_site_fract_z
_atom_site_occupancy
O1 O 0.187 0.437 0.935 1
O2 O 0.662 0.250 0.292 1
O3 O 0.376 0.250 0.728 1
O4 O 0.838 0.250 0.792 1
O5 O 0.813 0.563 0.065 1
O6 O 0.477 0.750 0.010 1
O7 O 0.162 0.750 0.208 1
O8 O 0.624 0.750 0.272 1
O9 O 0.876 0.750 0.772 1
O10 O 0.687 0.563 0.565 1
O11 O 0.124 0.250 0.228 1
O12 O 0.523 0.250 0.990 1
O13 O 0.313 0.437 0.435 1
O14 O 0.313 0.063 0.435 1
O15 O 0.338 0.750 0.708 1
O16 O 0.977 0.250 0.490 1
O17 O 0.813 0.937 0.065 1
O18 O 0.687 0.937 0.565 1
O19 O 0.023 0.750 0.510 1
O20 O 0.187 0.063 0.935 1
Be1 Be 0.186 0.250 0.398 1
Be2 Be 0.314 0.250 0.898 1
Be3 Be 0.814 0.750 0.602 1
Be4 Be 0.686 0.750 0.102 1
Sr1 Sr 0.089 0.022 0.673 1
Sr2 Sr 0.911 0.978 0.327 1
Sr3 Sr 0.589 0.978 0.827 1
Sr4 Sr 0.411 0.022 0.173 1
Sr5 Sr 0.089 0.478 0.673 1
Sr6 Sr 0.911 0.522 0.327 1
Sr7 Sr 0.589 0.522 0.827 1
Sr8 Sr 0.411 0.478 0.173 1
Eu1 Eu 0.083 0.750 0.978 1
Eu2 Eu 0.417 0.750 0.478 1
Eu3 Eu 0.583 0.250 0.522 1
Eu4 Eu 0.917 0.250 0.022 1

# 2
# KNdZr4O12, relaxed, DFT PBE
# energy relative to the elements: -3029 meV per atom
# calculated total energy: -8.096 eV/atom
# volume: 286.1 Å³ per cell
# size of the total moment: 0.22 μB per atom
# crystal system: orthorhombic
data_KNdZr4O12
_chemical_formula_sum 'K1 Nd1 Zr4 O12'
_symmetry_space_group_name_H-M 'P 1'
_symmetry_Int_Tables_number 1
_cell_length_a 5.850
_cell_length_b 5.850
_cell_length_c 8.360
_cell_angle_alpha 90.00
_cell_angle_beta 90.00
_cell_angle_gamma 90.85
loop_
_symmetry_equiv_pos_as_xyz
'x,y,z'
loop_
_atom_site_label
_atom_site_type_symbol
_atom_site_fract_x
_atom_site_fract_y
_atom_site_fract_z
_atom_site_occupancy
Nd1 Nd 0.525 0.475 0.500 1
Zr1 Zr 0.490 0.988 0.244 1
Zr2 Zr 0.012 0.510 0.244 1
Zr3 Zr 0.490 0.988 0.756 1
Zr4 Zr 0.012 0.510 0.756 1
O1 O 0.516 0.065 0.500 1
O2 O 0.470 0.975 0.000 1
O3 O 0.935 0.484 0.500 1
O4 O 0.718 0.282 0.252 1
O5 O 0.771 0.771 0.731 1
O6 O 0.771 0.771 0.269 1
O7 O 0.229 0.229 0.731 1
O8 O 0.298 0.702 0.688 1
O9 O 0.229 0.229 0.269 1
O10 O 0.718 0.282 0.748 1
O11 O 0.298 0.702 0.312 1
O12 O 0.025 0.530 0.000 1
K1 K 0.978 0.022 0.000 1

# 3
# P4S3, relaxed, DFT PBE
# energy relative to the elements: -362 meV per atom
# calculated total energy: -5.012 eV/atom
# volume: 1869.5 Å³ per cell
# crystal system: orthorhombic
data_P4S3
_chemical_formula_sum 'P32 S24'
_symmetry_space_group_name_H-M 'P 1'
_symmetry_Int_Tables_number 1
_cell_length_a 10.583
_cell_length_b 11.564
_cell_length_c 15.277
_cell_angle_alpha 90.00
_cell_angle_beta 90.00
_cell_angle_gamma 90.00
loop_
_symmetry_equiv_pos_as_xyz
'x,y,z'
loop_
_atom_site_label
_atom_site_type_symbol
_atom_site_fract_x
_atom_site_fract_y
_atom_site_fract_z
_atom_site_occupancy
P1 P 0.750 0.030 0.483 1
P2 P 0.750 0.584 0.229 1
P3 P 0.750 0.530 0.017 1
P4 P 0.750 0.475 0.542 1
P5 P 0.643 0.724 0.157 1
P6 P 0.857 0.224 0.343 1
P7 P 0.357 0.776 0.657 1
P8 P 0.143 0.948 0.236 1
P9 P 0.143 0.776 0.657 1
P10 P 0.143 0.448 0.264 1
P11 P 0.250 0.416 0.771 1
P12 P 0.250 0.525 0.458 1
P13 P 0.750 0.700 0.675 1
P14 P 0.857 0.052 0.764 1
P15 P 0.357 0.948 0.236 1
P16 P 0.857 0.724 0.157 1
P17 P 0.250 0.470 0.983 1
P18 P 0.250 0.970 0.517 1
P19 P 0.643 0.224 0.343 1
P20 P 0.750 0.975 0.958 1
P21 P 0.357 0.276 0.843 1
P22 P 0.750 0.200 0.825 1
P23 P 0.357 0.448 0.264 1
P24 P 0.250 0.800 0.175 1
P25 P 0.750 0.084 0.271 1
P26 P 0.857 0.552 0.736 1
P27 P 0.250 0.025 0.042 1
P28 P 0.643 0.552 0.736 1
P29 P 0.250 0.916 0.729 1
P30 P 0.643 0.052 0.764 1
P31 P 0.250 0.300 0.325 1
P32 P 0.143 0.276 0.843 1
S1 S 0.250 0.842 0.041 1
S2 S 0.097 0.554 0.371 1
S3 S 0.597 0.646 0.037 1
S4 S 0.403 0.354 0.963 1
S5 S 0.250 0.554 0.860 1
S6 S 0.403 0.854 0.537 1
S7 S 0.903 0.446 0.629 1
S8 S 0.250 0.054 0.640 1
S9 S 0.750 0.446 0.140 1
S10 S 0.097 0.854 0.537 1
S11 S 0.597 0.446 0.629 1
S12 S 0.750 0.658 0.541 1
S13 S 0.597 0.946 0.871 1
S14 S 0.750 0.946 0.360 1
S15 S 0.403 0.054 0.129 1
S16 S 0.403 0.554 0.371 1
S17 S 0.750 0.158 0.959 1
S18 S 0.097 0.354 0.963 1
S19 S 0.597 0.146 0.463 1
S20 S 0.250 0.342 0.459 1
S21 S 0.903 0.946 0.871 1
S22 S 0.097 0.054 0.129 1
S23 S 0.903 0.146 0.463 1
S24 S 0.903 0.646 0.037 1

Question: What is the formula in the third record?
Answer: P4S3

Question: Which value of calculated total energy does entry 1 give?
Answer: -7.252 eV/atom

Question: Which of these has the lowest volume?
Answer: KNdZr4O12

Question: Look up the volume of the first one.
Answer: 482.1 Å³ per cell